Here is a relaxed Ba2SrN2 crystal from Materials Project. Energies are from PBE.

a b c (Å): 3.8142 6.0350 11.9602
angles (deg): 90.00 90.00 90.00
With the nearest neighbours (Å) after each atom.
Positions (direct):
N1 0.7179 0.2500 0.4094  2 Ba 2.58-2.67, 2 Sr 2.66-2.73
N2 0.2821 0.7500 0.9094  2 Ba 2.58-2.67, 2 Sr 2.66-2.73
N3 0.2821 0.7500 0.5906  2 Ba 2.58-2.67, 2 Sr 2.66-2.73
N4 0.7179 0.2500 0.0906  2 Ba 2.58-2.67, 2 Sr 2.66-2.73
Ba1 0.2355 0.2500 0.5602  2 N 2.58-2.67
Ba2 0.7645 0.7500 0.4398  2 N 2.58-2.67
Ba3 0.2355 0.2500 0.9398  2 N 2.58-2.67
Ba4 0.7645 0.7500 0.0602  2 N 2.58-2.67
Sr1 0.7682 0.7500 0.7500  4 N 2.66-2.73
Sr2 0.2318 0.2500 0.2500  4 N 2.66-2.73

## Properties
DFT total energy = -47.72 eV for the cell shown
DFT formation energy = -46 kJ/mol of atoms
E above lowest polymorph = 85 meV per atom